# SnH7C3NO5F

A geometry-optimized SnH7C3NO5F structure (PBE, Materials Project).

Unit cell a=6.2082 b=7.9131 c=8.1839 alpha=101.73 beta=94.35 gamma=103.16
With the nearest neighbours (Å) after each atom.
Space group P-1 (No. 2)
Inequivalent atoms, fractional coordinates:
Sn 0.2222 0.4752 0.1748  1 F 2.13, 2 O 2.21-2.32
H 0.0378 0.2023 0.5655  1 C 1.10
H 0.1285 0.9640 0.3473  1 C 1.10
H 0.1498 0.8523 0.0712  1 O 0.99
H 0.2128 0.9270 0.6928  1 N 1.04
H 0.2188 0.1332 0.8108  1 N 1.05
H 0.3591 0.1117 0.6377  1 N 1.04
H 0.3724 0.9447 0.0281  1 O 0.97
C 0.0147 0.0661 0.5837  2 H 1.10
C 0.3471 0.6375 0.7392  2 O 1.26-1.28
C 0.4912 0.3012 0.3873  2 O 1.25-1.29
N 0.2171 0.0588 0.6889  3 H 1.04-1.05
O 0.1704 0.6895 0.7431  1 C 1.26
O 0.2998 0.3385 0.3737  1 C 1.29
O 0.3091 0.8996 0.1197  2 H 0.97-0.99
O 0.4086 0.5383 0.8300  1 C 1.28
O 0.4454 0.7759 0.5064  1 C 1.25
F 0.1355 0.2287 0.9928  2 H 1.70-1.74

Computed properties:
ΔH_f (0 K) ... -25.732 kcal/mol of atoms
Total moment ... 0.00 Bohr magnetons per cell